(1)
Below is a relaxed ReBMo crystal, with properties calculated at the GGA-PBE level.

```
6
Lattice="0.000 3.884 3.951 2.348 0.000 3.951 2.348 3.884 0.000" Properties=species:S:1:pos:R:3 pbc="T T T"
Re 2.348 3.884 1.335
Re 2.348 3.884 6.568
B 1.174 1.942 1.976
B 3.522 5.826 5.927
Mo 2.348 2.582 3.951
Mo 2.348 5.186 3.951
```

## Properties
space-group type	Fmmm, No. 69
total magnetic moment	0.00	μB per atom
E	-10.27	eV per atom
formation energy	-0.283	eV/atom

=====

(2)
Below is a relaxed B2Mo2Ru crystal, with properties calculated at the GGA-PBE level.

```
20
Lattice="7.532 0.000 0.000 0.000 9.621 0.000 0.000 0.000 3.099" Properties=species:S:1:pos:R:3 pbc="T T T"
B 0.869 0.377 0.000
B 0.944 2.234 0.000
B 2.822 7.044 1.549
B 2.897 5.188 1.549
B 4.634 4.433 1.549
B 4.709 2.577 1.549
B 6.588 7.387 0.000
B 6.663 9.243 0.000
Mo 0.562 8.276 1.549
Mo 1.438 6.054 0.000
Mo 2.327 1.243 1.549
Mo 3.204 3.465 0.000
Mo 4.328 6.155 0.000
Mo 5.204 8.378 1.549
Mo 6.093 3.567 0.000
Mo 6.970 1.345 1.549
Ru 0.906 3.770 1.549
Ru 2.860 8.580 0.000
Ru 4.672 1.040 0.000
Ru 6.626 5.851 1.549
```

## Properties
space-group type	Pnnm, No. 58
total magnetic moment	0.00	μB per atom
E	-9.25	eV per atom
formation energy	-0.388	eV/atom

=====

(3)
Below is a relaxed B4MoRu2 crystal, with properties calculated at the GGA-PBE level.

```
7
Lattice="-1.504 1.657 6.617 1.504 -1.657 6.617 1.504 1.657 -6.617" Properties=species:S:1:pos:R:3 pbc="T T T"
B 0.000 0.000 0.925
B 1.504 0.000 1.944
B 0.000 1.657 4.673
B 0.000 0.000 12.309
Mo 0.000 0.000 6.617
Ru 1.504 0.000 4.235
Ru 0.000 1.657 2.382
```

## Properties
space-group type	Immm, No. 71
total magnetic moment	0.00	μB per atom
E	-8.32	eV per atom
formation energy	-0.304	eV/atom

=====

(4)
Below is a relaxed B4MoRu2 crystal, with properties calculated at the GGA-PBE level.

```
7
Lattice="4.102 0.000 0.000 -1.059 4.249 0.000 -0.200 -2.257 4.474" Properties=species:S:1:pos:R:3 pbc="T T T"
B 0.000 0.000 0.000
B -0.198 -1.287 3.079
B -0.221 2.036 1.916
B 2.964 0.665 1.340
Mo 1.849 2.567 1.102
Ru 0.911 0.107 1.881
Ru 1.913 -1.849 3.784
```

## Properties
space-group type	P1, No. 1
total magnetic moment	0.00	μB per atom
E	-8.00	eV per atom
formation energy	0.016	eV/atom

=====

(5)
Below is a relaxed TaB2Mo2 crystal, with properties calculated at the GGA-PBE level.

```
10
Lattice="6.127 0.000 0.000 0.000 6.127 0.000 0.000 0.000 3.192" Properties=species:S:1:pos:R:3 pbc="T T T"
Ta 0.000 0.000 0.000
Ta 3.063 3.063 0.000
B 0.670 2.394 0.000
B 2.394 5.457 0.000
B 3.733 0.670 0.000
B 5.457 3.733 0.000
Mo 1.065 4.128 1.596
Mo 1.998 1.065 1.596
Mo 4.128 5.062 1.596
Mo 5.062 1.998 1.596
```

## Properties
space-group type	P4/mbm, No. 127
total magnetic moment	0.00	μB per atom
E	-9.84	eV per atom
formation energy	-0.455	eV/atom

=====

(6)
Below is a relaxed TaB2Mo crystal, with properties calculated at the GGA-PBE level.

```
4
Lattice="3.128 0.000 0.000 0.000 1.621 4.311 0.000 -1.621 4.311" Properties=species:S:1:pos:R:3 pbc="T T T"
Ta 0.000 0.000 0.000
B 0.000 0.000 2.537
B 1.564 0.000 3.552
Mo 1.564 0.000 6.116
```

## Properties
space-group type	Amm2, No. 38
E	-9.68	eV per atom
formation energy	-0.663	eV/atom

=====

(7)
Below is a relaxed Tb3B7Mo crystal, with properties calculated at the GGA-PBE level.

```
22
Lattice="1.747 -8.038 0.000 1.747 8.038 0.000 0.000 0.000 9.507" Properties=species:S:1:pos:R:3 pbc="T T T"
Tb 1.747 6.328 5.326
Tb 1.747 6.328 8.934
Tb 1.747 4.133 2.377
Tb 1.747 -4.133 7.130
Tb 1.747 -6.328 0.573
Tb 1.747 -6.328 4.181
B 1.747 3.651 5.062
B 1.747 3.651 9.198
B 1.747 2.159 6.156
B 1.747 2.159 8.105
B 1.747 0.686 2.377
B 1.747 0.321 5.633
B 1.747 0.321 8.627
B 1.747 -0.321 0.880
B 1.747 -0.321 3.874
B 1.747 -0.686 7.130
B 1.747 -2.159 1.402
B 1.747 -2.159 3.351
B 1.747 -3.651 0.309
B 1.747 -3.651 4.445
Mo 1.747 7.179 2.377
Mo 1.747 -7.179 7.130
```

## Properties
space-group type	Cmcm, No. 63
E	-7.07	eV per atom
formation energy	-0.566	eV/atom

=====

(8)
Below is a relaxed TbB7Mo3 crystal, with properties calculated at the GGA-PBE level.

```
44
Lattice="11.028 0.000 0.000 0.000 3.113 0.000 0.000 0.000 12.936" Properties=species:S:1:pos:R:3 pbc="T T T"
Tb 0.562 0.778 2.482
Tb 4.952 2.335 8.950
Tb 6.076 0.778 3.986
Tb 10.466 2.335 10.454
B 0.115 2.335 4.694
B 0.412 2.335 0.231
B 0.749 2.335 7.968
B 1.834 2.335 4.309
B 2.064 2.335 0.859
B 2.539 2.335 7.526
B 2.749 2.335 10.692
B 2.765 0.778 4.224
B 2.975 0.778 1.058
B 3.450 0.778 7.327
B 3.680 0.778 10.777
B 4.765 0.778 1.500
B 5.102 0.778 6.699
B 5.399 0.778 11.162
B 5.629 2.335 1.775
B 5.926 2.335 6.237
B 6.263 2.335 11.436
B 7.348 2.335 2.159
B 7.578 2.335 5.609
B 8.053 2.335 11.878
B 8.263 2.335 8.712
B 8.279 0.778 2.244
B 8.489 0.778 5.410
B 8.964 0.778 12.077
B 9.194 0.778 8.627
B 10.279 0.778 4.968
B 10.616 0.778 12.705
B 10.913 0.778 8.243
Mo 1.298 0.778 6.119
Mo 1.762 0.778 12.112
Mo 2.039 0.778 9.077
Mo 3.475 2.335 2.609
Mo 3.752 2.335 5.644
Mo 4.216 2.335 12.587
Mo 6.813 0.778 0.349
Mo 7.276 0.778 7.292
Mo 7.553 0.778 10.328
Mo 8.990 2.335 3.860
Mo 9.266 2.335 0.824
Mo 9.730 2.335 6.817
```

## Properties
space-group type	Pnma, No. 62
E	-8.19	eV per atom
formation energy	-0.557	eV/atom

=====

(9)
Below is a relaxed ThB4Mo crystal, with properties calculated at the GGA-PBE level.

```
12
Lattice="3.756 -4.813 0.000 3.756 4.813 0.000 0.000 0.000 3.785" Properties=species:S:1:pos:R:3 pbc="T T T"
Th 3.756 2.906 0.000
Th 3.756 -2.906 0.000
B 2.096 1.501 1.892
B 0.970 0.000 1.892
B 3.756 0.868 1.892
B 2.096 -1.501 1.892
B 5.415 1.501 1.892
B 3.756 -0.868 1.892
B 6.541 0.000 1.892
B 5.415 -1.501 1.892
Mo 2.460 0.000 0.000
Mo 5.052 0.000 0.000
```

## Properties
space-group type	Cmmm, No. 65
E	-8.07	eV per atom
formation energy	-0.576	eV/atom

=====

(10)
Below is a relaxed TiB4Mo crystal, with properties calculated at the GGA-PBE level.

```
6
Lattice="3.053 0.000 0.000 -1.527 2.644 0.000 0.000 0.000 6.451" Properties=species:S:1:pos:R:3 pbc="T T T"
Ti 0.000 0.000 0.000
B 0.000 1.763 1.573
B 0.000 1.763 4.878
B 1.527 0.881 1.573
B 1.527 0.881 4.878
Mo 0.000 0.000 3.225
```

## Properties
space-group type	P6/mmm, No. 191
total magnetic moment	0.00	μB per atom
E	-8.26	eV per atom
formation energy	-0.684	eV/atom

=====

(11)
Below is a relaxed Ti3B4Mo3 crystal, with properties calculated at the GGA-PBE level.

```
10
Lattice="3.168 0.000 0.000 0.000 4.227 4.264 0.000 -4.227 4.264" Properties=species:S:1:pos:R:3 pbc="T T T"
Ti 0.000 0.000 0.000
Ti 1.584 -2.117 3.622
Ti 1.584 2.117 3.622
B 1.584 -0.911 1.497
B 1.584 0.911 1.497
B 1.584 0.000 4.836
B 1.584 0.000 6.680
Mo 0.000 0.000 3.020
Mo 0.000 -1.497 5.751
Mo 0.000 1.497 5.751
```

## Properties
space-group type	Amm2, No. 38
total magnetic moment	0.00	μB per atom
E	-8.96	eV per atom
formation energy	-0.667	eV/atom

=====

(12)
Below is a relaxed TmB7Mo3 crystal, with properties calculated at the GGA-PBE level.

```
44
Lattice="11.046 0.000 0.000 0.000 3.103 0.000 0.000 0.000 12.839" Properties=species:S:1:pos:R:3 pbc="T T T"
Tm 0.580 0.776 2.468
Tm 4.943 2.327 8.888
Tm 6.103 0.776 3.952
Tm 10.466 2.327 10.371
B 0.121 2.327 4.634
B 0.412 2.327 0.241
B 0.746 2.327 7.913
B 1.825 2.327 4.260
B 2.050 2.327 0.864
B 2.554 2.327 7.476
B 2.752 0.776 4.187
B 2.771 2.327 10.607
B 2.969 0.776 1.056
B 3.473 0.776 7.283
B 3.698 0.776 10.680
B 4.777 0.776 1.493
B 5.111 0.776 6.660
B 5.402 0.776 11.054
B 5.643 2.327 1.785
B 5.934 2.327 6.179
B 6.269 2.327 11.346
B 7.348 2.327 2.160
B 7.573 2.327 5.556
B 8.077 2.327 11.783
B 8.275 0.776 2.232
B 8.294 2.327 8.652
B 8.492 0.776 5.364
B 8.995 0.776 11.976
B 9.221 0.776 8.579
B 10.299 0.776 4.927
B 10.634 0.776 12.598
B 10.925 0.776 8.205
Mo 1.304 0.776 6.074
Mo 1.755 0.776 12.009
Mo 2.038 0.776 9.012
Mo 3.485 2.327 2.593
Mo 3.768 2.327 5.589
Mo 4.219 2.327 12.494
Mo 6.827 0.776 0.346
Mo 7.278 0.776 7.250
Mo 7.561 0.776 10.246
Mo 9.008 2.327 3.827
Mo 9.291 2.327 0.830
Mo 9.742 2.327 6.765
```

## Properties
space-group type	Pnma, No. 62
E	-8.18	eV per atom
formation energy	-0.568	eV/atom

=====

(13)
Below is a relaxed U5B24Mo10 crystal, with properties calculated at the GGA-PBE level.

```
78
Lattice="3.099 0.000 0.000 0.000 17.993 0.000 0.000 0.000 14.650" Properties=species:S:1:pos:R:3 pbc="T T T"
U 0.775 0.090 2.579
U 0.775 2.450 7.696
U 0.775 6.547 7.696
U 0.775 8.907 2.579
U 0.775 13.495 14.326
U 2.325 4.498 0.323
U 2.325 9.086 12.071
U 2.325 11.446 6.954
U 2.325 15.544 6.954
U 2.325 17.903 12.071
B 0.775 1.315 10.302
B 0.775 2.134 11.890
B 0.775 2.244 4.934
B 0.775 2.805 1.625
B 0.775 4.498 2.454
B 0.775 4.498 9.386
B 0.775 6.192 1.625
B 0.775 6.753 4.934
B 0.775 6.863 11.890
B 0.775 7.681 10.302
B 0.775 9.244 6.918
B 0.775 9.365 14.336
B 0.775 10.025 5.258
B 0.775 10.892 13.385
B 0.775 11.711 1.984
B 0.775 11.925 8.996
B 0.775 13.495 6.136
B 0.775 13.495 7.911
B 0.775 15.065 8.996
B 0.775 15.279 1.984
B 0.775 16.098 13.385
B 0.775 16.964 5.258
B 0.775 17.625 14.336
B 0.775 17.746 6.918
B 2.325 0.247 7.731
B 2.325 0.369 0.314
B 2.325 1.029 9.392
B 2.325 1.895 1.265
B 2.325 2.714 12.666
B 2.325 2.928 5.654
B 2.325 4.498 6.739
B 2.325 4.498 8.513
B 2.325 6.069 5.654
B 2.325 6.282 12.666
B 2.325 7.102 1.265
B 2.325 7.968 9.392
B 2.325 8.628 0.314
B 2.325 8.749 7.731
B 2.325 10.312 4.347
B 2.325 11.130 2.759
B 2.325 11.241 9.715
B 2.325 11.801 13.024
B 2.325 13.495 5.263
B 2.325 13.495 12.195
B 2.325 15.188 13.024
B 2.325 15.749 9.715
B 2.325 15.859 2.759
B 2.325 16.678 4.347
Mo 0.775 1.908 14.164
Mo 0.775 4.498 5.067
Mo 0.775 4.498 12.381
Mo 0.775 7.089 14.164
Mo 0.775 9.663 9.200
Mo 0.775 11.916 11.352
Mo 0.775 12.054 4.256
Mo 0.775 14.936 4.256
Mo 0.775 15.074 11.352
Mo 0.775 17.327 9.200
Mo 2.325 0.667 5.449
Mo 2.325 2.920 3.298
Mo 2.325 3.057 10.394
Mo 2.325 5.939 10.394
Mo 2.325 6.077 3.298
Mo 2.325 8.330 5.449
Mo 2.325 10.904 0.486
Mo 2.325 13.495 2.268
Mo 2.325 13.495 9.583
Mo 2.325 16.086 0.486
```

## Properties
space-group type	Pmmn, No. 59
total magnetic moment	0.04	μB per atom
E	-8.90	eV per atom
formation energy	-0.557	eV/atom

=====

(14)
Below is a relaxed U2B6Mo crystal, with properties calculated at the GGA-PBE level.

```
36
Lattice="9.264 0.000 0.000 0.000 11.352 0.000 0.000 0.000 3.696" Properties=species:S:1:pos:R:3 pbc="T T T"
U 0.409 1.198 0.000
U 1.530 4.628 0.000
U 3.102 10.304 0.000
U 4.223 6.874 0.000
U 5.041 4.478 0.000
U 6.162 1.047 0.000
U 7.734 6.723 0.000
U 8.855 10.153 0.000
B 0.140 3.197 1.848
B 0.458 6.433 1.848
B 1.315 10.906 1.848
B 1.334 9.226 1.848
B 1.825 2.581 1.848
B 2.249 6.536 1.848
B 2.383 0.860 1.848
B 2.807 8.257 1.848
B 3.298 3.550 1.848
B 3.317 5.231 1.848
B 4.174 0.758 1.848
B 4.492 8.873 1.848
B 4.772 2.479 1.848
B 5.091 10.594 1.848
B 5.947 6.121 1.848
B 5.966 7.801 1.848
B 6.457 3.095 1.848
B 6.882 10.491 1.848
B 7.015 4.815 1.848
B 7.439 8.771 1.848
B 7.930 2.126 1.848
B 7.949 0.445 1.848
B 8.806 4.918 1.848
B 9.124 8.155 1.848
Mo 1.338 7.718 0.000
Mo 3.294 2.042 0.000
Mo 5.970 9.309 0.000
Mo 7.926 3.634 0.000
```

## Properties
space-group type	Pbam, No. 55
total magnetic moment	0.09	μB per atom
E	-8.74	eV per atom
formation energy	-0.568	eV/atom

=====

(15)
Below is a relaxed YB2Mo crystal, with properties calculated at the GGA-PBE level.

```
4
Lattice="3.142 0.000 0.000 0.000 1.673 5.112 0.000 -1.673 5.112" Properties=species:S:1:pos:R:3 pbc="T T T"
Y 0.000 0.000 0.000
B 0.000 0.000 2.899
B 1.571 0.000 3.743
Mo 1.571 0.000 7.377
```

## Properties
space-group type	Amm2, No. 38
total magnetic moment	0.00	μB per atom
E	-8.05	eV per atom
formation energy	-0.379	eV/atom